The following is a meta-GGA r2SCAN calculation of a relaxed HoGe crystal, from Materials Project.

Output
The space group is Cmcm, No. 63. For the size of the total moment, the calculation gives 0.00 μB/atom. The calculation puts the formation energy at -964 meV/atom.

a = 3.928 Å, b = 4.238 Å, c = 5.722 Å
α = 111.74°, β = 90.00°, γ = 90.00°
Fractional coordinates of all 4 atoms:
Ho1 0.750 0.138 0.277
Ge1 0.250 0.586 0.171
Ho2 0.250 0.862 0.723
Ge2 0.750 0.414 0.829



The following is a meta-GGA r2SCAN calculation of a relaxed Ho2InGe2 crystal, from Materials Project.

Output
The space group is P4/mbm, No. 127. For the size of the total moment, the calculation gives 0.00 μB/atom. The calculation puts the formation energy at -784 meV/atom.

a = 4.130 Å, b = 7.369 Å, c = 7.369 Å
α = 90.00°, β = 90.00°, γ = 90.00°
Fractional coordinates of all 10 atoms:
Ge1 0.000 0.120 0.380
Ho1 0.500 0.821 0.321
Ge2 0.000 0.880 0.620
In1 0.000 0.500 0.500
Ge3 0.000 0.380 0.880
Ho2 0.500 0.321 0.179
Ge4 0.000 0.620 0.120
In2 0.000 0.000 0.000
Ho3 0.500 0.679 0.821
Ho4 0.500 0.179 0.679



The following is a meta-GGA r2SCAN calculation of a relaxed Ho3Ge13Ir4 crystal, from Materials Project.

Output
The space group is Pm-3n, No. 223. For the size of the total moment, the calculation gives 0.00 μB/atom. The calculation puts the formation energy at -518 meV/atom.

a = 8.966 Å, b = 8.966 Å, c = 8.966 Å
α = 90.00°, β = 90.00°, γ = 90.00°
Fractional coordinates of all 40 atoms:
Ge1 0.856 0.307 0.000
Ge2 0.856 0.693 0.000
Ho1 0.000 0.500 0.250
Ge3 0.356 0.500 0.193
Ge4 0.500 0.193 0.356
Ge5 0.500 0.807 0.644
Ir1 0.750 0.750 0.250
Ge6 0.500 0.193 0.644
Ge7 0.307 0.000 0.144
Ho2 0.250 0.000 0.500
Ir2 0.250 0.750 0.750
Ge8 0.500 0.500 0.500
Ir3 0.750 0.250 0.250
Ge9 0.144 0.307 0.000
Ge10 0.193 0.644 0.500
Ir4 0.250 0.750 0.250
Ir5 0.750 0.750 0.750
Ge11 0.693 0.000 0.856
Ge12 0.644 0.500 0.193
Ge13 0.000 0.144 0.693
Ge14 0.000 0.000 0.000
Ge15 0.807 0.644 0.500
Ir6 0.750 0.250 0.750
Ge16 0.000 0.856 0.693
Ge17 0.693 0.000 0.144
Ho3 0.500 0.750 0.000
Ho4 0.750 0.000 0.500
Ho5 0.500 0.250 0.000
Ir7 0.250 0.250 0.750
Ge18 0.144 0.693 0.000
Ge19 0.500 0.807 0.356
Ge20 0.000 0.144 0.307
Ge21 0.807 0.356 0.500
Ge22 0.644 0.500 0.807
Ge23 0.307 0.000 0.856
Ir8 0.250 0.250 0.250
Ge24 0.193 0.356 0.500
Ge25 0.000 0.856 0.307
Ge26 0.356 0.500 0.807
Ho6 0.000 0.500 0.750



The following is a meta-GGA r2SCAN calculation of a relaxed LiHo4Ge4 crystal, from Materials Project.

Output
The space group is Pnma, No. 62. For the size of the total moment, the calculation gives 0.00 μB/atom. The calculation puts the formation energy at -938 meV/atom.

a = 7.091 Å, b = 7.648 Å, c = 14.571 Å
α = 90.00°, β = 90.00°, γ = 90.00°
Fractional coordinates of all 36 atoms:
Ge1 0.167 0.466 0.964
Ge2 0.482 0.586 0.250
Li1 0.663 0.972 0.750
Ge3 0.333 0.966 0.464
Ho1 0.483 0.687 0.598
Ge4 0.782 0.635 0.750
Ge5 0.518 0.414 0.750
Ge6 0.018 0.086 0.750
Ge7 0.218 0.365 0.250
Ho2 0.329 0.177 0.872
Li2 0.337 0.028 0.250
Ge8 0.667 0.034 0.964
Ho3 0.483 0.687 0.902
Ho4 0.171 0.677 0.372
Ge9 0.833 0.534 0.036
Ho5 0.329 0.177 0.628
Ge10 0.167 0.466 0.536
Ho6 0.017 0.187 0.402
Ge11 0.282 0.865 0.750
Ge12 0.982 0.914 0.250
Ho7 0.829 0.323 0.628
Ge13 0.667 0.034 0.536
Ge14 0.833 0.534 0.464
Ho8 0.983 0.813 0.598
Li3 0.837 0.472 0.250
Ho9 0.517 0.313 0.098
Ho10 0.829 0.323 0.872
Li4 0.163 0.528 0.750
Ho11 0.671 0.823 0.128
Ho12 0.671 0.823 0.372
Ho13 0.017 0.187 0.098
Ge15 0.333 0.966 0.036
Ge16 0.718 0.135 0.250
Ho14 0.171 0.677 0.128
Ho15 0.983 0.813 0.902
Ho16 0.517 0.313 0.402



The following is a meta-GGA r2SCAN calculation of a relaxed Ho2MgGe2 crystal, from Materials Project.

Output
The space group is P4/mbm, No. 127. For the size of the total moment, the calculation gives 0.00 μB/atom. The calculation puts the formation energy at -869 meV/atom.

a = 7.215 Å, b = 7.215 Å, c = 4.198 Å
α = 90.00°, β = 90.00°, γ = 90.00°
Fractional coordinates of all 10 atoms:
Mg1 0.000 0.000 0.000
Ho1 0.322 0.178 0.500
Ho2 0.822 0.322 0.500
Ho3 0.678 0.822 0.500
Ge1 0.123 0.377 0.000
Ge2 0.877 0.623 0.000
Mg2 0.500 0.500 0.000
Ge3 0.377 0.877 0.000
Ho4 0.178 0.678 0.500
Ge4 0.623 0.123 0.000



The following is a meta-GGA r2SCAN calculation of a relaxed Ho2Nb3Ge4 crystal, from Materials Project.

Output
The space group is Pnma, No. 62. For the size of the total moment, the calculation gives 0.00 μB/atom. The calculation puts the formation energy at -824 meV/atom.

a = 6.976 Å, b = 7.161 Å, c = 13.517 Å
α = 90.00°, β = 90.00°, γ = 90.00°
Fractional coordinates of all 36 atoms:
Ho1 0.003 0.825 0.595
Ge1 0.460 0.620 0.250
Ho2 0.497 0.325 0.405
Ge2 0.175 0.462 0.959
Ge3 0.540 0.380 0.750
Ho3 0.997 0.175 0.405
Nb1 0.659 0.828 0.373
Ge4 0.675 0.038 0.541
Ge5 0.825 0.538 0.041
Nb2 0.341 0.172 0.627
Nb3 0.835 0.513 0.250
Ge6 0.805 0.637 0.750
Ge7 0.040 0.120 0.750
Nb4 0.341 0.172 0.873
Nb5 0.165 0.487 0.750
Ge8 0.325 0.962 0.459
Ge9 0.175 0.462 0.541
Nb6 0.159 0.672 0.373
Nb7 0.841 0.328 0.873
Ho4 0.503 0.675 0.905
Ho5 0.997 0.175 0.095
Nb8 0.659 0.828 0.127
Ho6 0.003 0.825 0.905
Ge10 0.325 0.962 0.041
Ge11 0.825 0.538 0.459
Nb9 0.159 0.672 0.127
Ge12 0.305 0.863 0.750
Ho7 0.497 0.325 0.095
Nb10 0.665 0.013 0.750
Ho8 0.503 0.675 0.595
Nb11 0.335 0.987 0.250
Ge13 0.695 0.137 0.250
Nb12 0.841 0.328 0.627
Ge14 0.195 0.363 0.250
Ge15 0.675 0.038 0.959
Ge16 0.960 0.880 0.250